(1)
LiSn2P4H3O16 after structural relaxation, computed with PBE.

a = 4.977 Å, b = 7.633 Å, c = 8.160 Å
α = 90.80°, β = 91.59°, γ = 102.63°
Fractional coordinates of all 26 atoms:
Li 0.000 0.000 0.000
Sn 0.128 0.166 0.653
Sn 0.621 0.661 0.156
P 0.009 0.420 0.984
P 0.246 0.913 0.321
P 0.502 0.900 0.809
P 0.744 0.423 0.497
H 0.080 0.640 0.639
H 0.568 0.148 0.298
H 0.687 0.221 0.092
O 0.006 0.841 0.197
O 0.107 0.372 0.817
O 0.149 0.964 0.486
O 0.240 0.513 0.101
O 0.312 0.042 0.839
O 0.354 0.735 0.719
O 0.402 0.092 0.233
O 0.447 0.787 0.339
O 0.485 0.331 0.586
O 0.604 0.861 0.989
O 0.671 0.467 0.318
O 0.768 0.007 0.732
O 0.781 0.527 0.972
O 0.880 0.230 0.065
O 0.883 0.598 0.589
O 0.928 0.283 0.476

Computed properties:
**Largest piezoelectric modulus**: 1.04 C/m2
**Space group**: P1
**Energy of formation**: -2.275 eV per atom



(2)
LiTlPHO3 after structural relaxation, computed with PBE.

a = 7.665 Å, b = 7.665 Å, c = 5.450 Å
α = 90.49°, β = 90.49°, γ = 39.77°
Fractional coordinates of all 14 atoms:
Li 0.250 0.250 0.186
Li 0.750 0.750 0.814
Tl 0.370 0.440 0.748
Tl 0.560 0.630 0.252
P 0.149 0.131 0.688
P 0.869 0.851 0.312
H 0.873 0.024 0.234
H 0.976 0.127 0.766
O 0.083 0.342 0.853
O 0.085 0.210 0.415
O 0.163 0.557 0.274
O 0.443 0.837 0.726
O 0.658 0.917 0.147
O 0.790 0.915 0.585

Computed properties:
**Largest piezoelectric modulus**: 0.18 C/m2
**Space group**: C2
**Energy of formation**: -1.960 eV per atom



(3)
LiUPH8O10 after structural relaxation, computed with PBE.

a = 6.981 Å, b = 6.981 Å, c = 9.265 Å
α = 90.00°, β = 90.00°, γ = 90.00°
Fractional coordinates of all 42 atoms:
Li 0.250 0.750 0.000
Li 0.750 0.250 0.000
U 0.250 0.250 0.401
U 0.750 0.750 0.599
P 0.250 0.750 0.500
P 0.750 0.250 0.500
H 0.080 0.396 0.880
H 0.080 0.662 0.229
H 0.104 0.080 0.880
H 0.162 0.920 0.771
H 0.338 0.580 0.771
H 0.396 0.420 0.880
H 0.420 0.104 0.880
H 0.420 0.838 0.229
H 0.580 0.162 0.771
H 0.580 0.896 0.120
H 0.604 0.580 0.120
H 0.662 0.420 0.229
H 0.838 0.080 0.229
H 0.896 0.920 0.120
H 0.920 0.338 0.771
H 0.920 0.604 0.120
O 0.032 0.691 0.131
O 0.078 0.797 0.601
O 0.191 0.968 0.869
O 0.203 0.578 0.399
O 0.250 0.250 0.205
O 0.250 0.250 0.597
O 0.297 0.922 0.399
O 0.309 0.532 0.869
O 0.422 0.703 0.601
O 0.468 0.809 0.131
O 0.532 0.191 0.869
O 0.578 0.297 0.399
O 0.691 0.468 0.131
O 0.703 0.078 0.601
O 0.750 0.750 0.403
O 0.750 0.750 0.795
O 0.797 0.422 0.601
O 0.809 0.032 0.131
O 0.922 0.203 0.399
O 0.968 0.309 0.869

Computed properties:
**Space group**: P4/n
**Energy of formation**: -2.078 eV per atom



(4)
LiZnPH2O5 after structural relaxation, computed with PBE.

a = 16.735 Å, b = 5.073 Å, c = 10.154 Å
α = 90.00°, β = 90.00°, γ = 90.00°
Fractional coordinates of all 80 atoms:
Li 0.003 0.031 0.000
Li 0.248 0.593 0.722
Li 0.252 0.593 0.222
Li 0.497 0.031 0.500
Li 0.503 0.969 0.000
Li 0.748 0.407 0.722
Li 0.752 0.407 0.222
Li 0.997 0.969 0.500
Zn 0.057 0.608 0.242
Zn 0.191 0.959 0.477
Zn 0.309 0.959 0.977
Zn 0.443 0.608 0.742
Zn 0.557 0.392 0.242
Zn 0.691 0.041 0.477
Zn 0.809 0.041 0.977
Zn 0.943 0.392 0.742
P 0.092 0.485 0.547
P 0.158 0.088 0.173
P 0.342 0.088 0.673
P 0.408 0.485 0.047
P 0.592 0.515 0.547
P 0.658 0.912 0.173
P 0.842 0.912 0.673
P 0.908 0.515 0.047
H 0.053 0.897 0.770
H 0.119 0.860 0.873
H 0.128 0.406 0.831
H 0.197 0.366 0.930
H 0.303 0.366 0.430
H 0.372 0.406 0.331
H 0.381 0.860 0.373
H 0.447 0.897 0.270
H 0.553 0.103 0.770
H 0.619 0.140 0.873
H 0.628 0.594 0.831
H 0.697 0.634 0.930
H 0.803 0.634 0.430
H 0.872 0.594 0.331
H 0.881 0.140 0.373
H 0.947 0.103 0.270
O 0.045 0.529 0.678
O 0.046 0.636 0.437
O 0.073 0.963 0.157
O 0.074 0.974 0.851
O 0.097 0.186 0.516
O 0.151 0.383 0.211
O 0.177 0.490 0.864
O 0.177 0.607 0.563
O 0.204 0.070 0.041
O 0.205 0.933 0.281
O 0.295 0.933 0.781
O 0.296 0.070 0.541
O 0.323 0.490 0.364
O 0.323 0.607 0.063
O 0.349 0.383 0.711
O 0.403 0.186 0.016
O 0.426 0.974 0.351
O 0.427 0.963 0.657
O 0.454 0.636 0.937
O 0.455 0.529 0.178
O 0.545 0.471 0.678
O 0.546 0.364 0.437
O 0.573 0.037 0.157
O 0.574 0.026 0.851
O 0.597 0.814 0.516
O 0.651 0.617 0.211
O 0.677 0.393 0.563
O 0.677 0.510 0.864
O 0.704 0.930 0.041
O 0.705 0.067 0.281
O 0.795 0.067 0.781
O 0.796 0.930 0.541
O 0.823 0.393 0.063
O 0.823 0.510 0.364
O 0.849 0.617 0.711
O 0.903 0.814 0.016
O 0.926 0.026 0.351
O 0.927 0.037 0.657
O 0.954 0.364 0.937
O 0.955 0.471 0.178

Computed properties:
**Space group**: Pca2_1
**Energy of formation**: -2.146 eV per atom



(5)
LiZnPH2O5 after structural relaxation, computed with PBE.

a = 10.804 Å, b = 8.165 Å, c = 5.066 Å
α = 90.00°, β = 90.00°, γ = 90.00°
Fractional coordinates of all 40 atoms:
Li 0.184 0.187 0.000
Li 0.316 0.687 0.500
Li 0.684 0.313 0.000
Li 0.816 0.813 0.500
Zn 0.127 0.380 0.502
Zn 0.373 0.880 0.002
Zn 0.627 0.120 0.502
Zn 0.873 0.620 0.002
P 0.166 0.590 0.004
P 0.334 0.090 0.504
P 0.666 0.910 0.004
P 0.834 0.410 0.504
H 0.001 0.973 0.368
H 0.046 0.823 0.532
H 0.454 0.323 0.032
H 0.499 0.473 0.868
H 0.501 0.527 0.368
H 0.546 0.677 0.532
H 0.954 0.177 0.032
H 0.999 0.027 0.868
O 0.014 0.088 0.035
O 0.044 0.678 0.067
O 0.167 0.414 0.124
O 0.187 0.575 0.699
O 0.225 0.189 0.625
O 0.275 0.689 0.125
O 0.313 0.075 0.199
O 0.333 0.914 0.624
O 0.456 0.178 0.567
O 0.486 0.588 0.535
O 0.514 0.412 0.035
O 0.544 0.822 0.067
O 0.667 0.086 0.124
O 0.687 0.925 0.699
O 0.725 0.311 0.625
O 0.775 0.811 0.125
O 0.813 0.425 0.199
O 0.833 0.586 0.624
O 0.956 0.322 0.567
O 0.986 0.912 0.535

Computed properties:
**Largest piezoelectric modulus**: 0.32 C/m2
**Space group**: Pna2_1
**Energy of formation**: -2.146 eV per atom



(6)
Rb4LiH3S4O16 after structural relaxation, computed with PBE.

a = 7.651 Å, b = 30.624 Å, c = 7.759 Å
α = 90.00°, β = 91.30°, γ = 90.00°
Fractional coordinates of all 112 atoms:
Rb 0.005 0.000 0.258
Rb 0.020 0.769 0.513
Rb 0.121 0.643 0.133
Rb 0.157 0.881 0.889
Rb 0.275 0.262 0.000
Rb 0.386 0.155 0.576
Rb 0.452 0.890 0.372
Rb 0.471 0.517 0.003
Rb 0.529 0.017 0.997
Rb 0.548 0.390 0.628
Rb 0.614 0.655 0.424
Rb 0.725 0.762 0.000
Rb 0.843 0.381 0.111
Rb 0.879 0.143 0.867
Rb 0.980 0.269 0.487
Rb 0.995 0.500 0.742
Li 0.179 0.443 0.365
Li 0.376 0.706 0.766
Li 0.624 0.206 0.234
Li 0.821 0.943 0.635
H 0.184 0.100 0.193
H 0.192 0.354 0.838
H 0.228 0.055 0.666
H 0.276 0.588 0.566
H 0.356 0.799 0.247
H 0.496 0.964 0.648
H 0.504 0.464 0.352
H 0.644 0.299 0.753
H 0.724 0.088 0.434
H 0.772 0.555 0.334
H 0.808 0.854 0.162
H 0.816 0.600 0.807
S 0.032 0.387 0.636
S 0.036 0.017 0.800
S 0.087 0.639 0.626
S 0.204 0.765 0.035
S 0.365 0.396 0.087
S 0.376 0.136 0.044
S 0.454 0.264 0.509
S 0.498 0.518 0.531
S 0.502 0.018 0.469
S 0.546 0.764 0.491
S 0.624 0.636 0.956
S 0.635 0.896 0.913
S 0.796 0.265 0.965
S 0.913 0.139 0.374
S 0.964 0.517 0.200
S 0.968 0.887 0.364
O 0.005 0.101 0.297
O 0.013 0.492 0.356
O 0.015 0.163 0.503
O 0.061 0.871 0.518
O 0.084 0.907 0.238
O 0.092 0.741 0.157
O 0.103 0.783 0.887
O 0.113 0.532 0.102
O 0.119 0.062 0.731
O 0.121 0.346 0.721
O 0.170 0.667 0.757
O 0.171 0.995 0.904
O 0.175 0.418 0.591
O 0.208 0.423 0.136
O 0.239 0.156 0.934
O 0.242 0.617 0.517
O 0.282 0.806 0.129
O 0.296 0.093 0.132
O 0.299 0.356 0.995
O 0.333 0.245 0.634
O 0.348 0.536 0.622
O 0.354 0.738 0.983
O 0.357 0.281 0.357
O 0.379 0.994 0.361
O 0.410 0.482 0.400
O 0.411 0.731 0.542
O 0.423 0.051 0.584
O 0.429 0.165 0.188
O 0.446 0.801 0.403
O 0.469 0.384 0.243
O 0.475 0.422 0.968
O 0.478 0.618 0.053
O 0.522 0.118 0.947
O 0.525 0.922 0.032
O 0.531 0.884 0.757
O 0.554 0.301 0.597
O 0.571 0.665 0.812
O 0.577 0.551 0.416
O 0.589 0.231 0.458
O 0.590 0.982 0.600
O 0.621 0.494 0.639
O 0.643 0.781 0.643
O 0.646 0.238 0.017
O 0.652 0.036 0.378
O 0.667 0.745 0.366
O 0.701 0.856 0.005
O 0.704 0.593 0.868
O 0.718 0.306 0.871
O 0.758 0.117 0.483
O 0.761 0.656 0.066
O 0.792 0.923 0.864
O 0.825 0.918 0.409
O 0.829 0.495 0.096
O 0.830 0.167 0.243
O 0.879 0.846 0.279
O 0.881 0.562 0.269
O 0.887 0.032 0.898
O 0.897 0.283 0.113
O 0.908 0.241 0.843
O 0.916 0.407 0.762
O 0.939 0.371 0.482
O 0.985 0.663 0.497
O 0.987 0.992 0.644
O 0.995 0.601 0.703

Computed properties:
**Space group**: P2_1
**Energy of formation**: -2.023 eV per atom



no.,energy (eV/atom)
1,-6.503
2,-5.655
3,-6.286
4,-5.813
5,-5.814
6,-5.621